A plane-wave DFT calculation with PBE-GGA was carried out for a relaxed structure of LaSi2Ag2.

## Properties
formation enthalpy at 0 K: -0.468 eV per atom
crystal system: tetragonal
calculated total energy: -4.758 eV/atom

Lattice parameters (Å, degrees): 6.1697 6.1697 6.1697 139.01 139.01 59.37
Atoms (fractional coordinates):
La 0.0000 0.0000 0.0000
Si 0.6096 0.6096 0.0000
Si 0.3904 0.3904 0.0000
Ag 0.2500 0.7500 0.5000
Ag 0.7500 0.2500 0.5000

=====

A plane-wave DFT calculation with PBE-GGA was carried out for a relaxed structure of LaSiAg.

## Properties
formation enthalpy at 0 K: -0.518 eV per atom
crystal system: hexagonal
size of the total moment: 0.1 μB/cell
calculated total energy: -4.916 eV/atom

Lattice parameters (Å, degrees): 4.2261 4.4233 4.4242 119.99 90.00 90.00
Atoms (fractional coordinates):
La 0.0000 0.0000 0.0000
Si 0.5000 0.6666 0.3333
Ag 0.5000 0.3333 0.6667

=====

What is the calculated total energy in the first record?
-4.758 eV/atom